(1)
Computed, not measured: a relaxed structure of NbFe3 at the GGA-PBE level of DFT.

Cell lengths 5.9176, 5.9176, 5.9176 Å; angles 90.00, 90.00, 90.00 degrees
Atoms (fractional coordinates):
Nb: 0.0000 0.0000 0.0000
Nb: 0.0000 0.5000 0.5000
Nb: 0.5000 0.0000 0.5000
Nb: 0.5000 0.5000 0.0000
Fe: 0.0000 0.0000 0.5000
Fe: 0.0000 0.5000 0.0000
Fe: 0.2500 0.2500 0.2500
Fe: 0.2500 0.2500 0.7500
Fe: 0.2500 0.7500 0.2500
Fe: 0.2500 0.7500 0.7500
Fe: 0.5000 0.0000 0.0000
Fe: 0.5000 0.5000 0.5000
Fe: 0.7500 0.2500 0.2500
Fe: 0.7500 0.2500 0.7500
Fe: 0.7500 0.7500 0.2500
Fe: 0.7500 0.7500 0.7500

Output
Raw total energy = -8.926 eV per atom
Energy relative to the elements = -49 meV per atom
Crystal system = cubic



(2)
Computed, not measured: a relaxed structure of Ho2Ge2O7 at the GGA-PBE level of DFT.

Cell lengths 6.8056, 6.8276, 12.4048 Å; angles 94.87, 91.76, 91.87 degrees
Atoms (fractional coordinates):
Ho: 0.0515 0.3315 0.1125
Ho: 0.1135 0.0921 0.3571
Ho: 0.3160 0.8324 0.1148
Ho: 0.3726 0.2129 0.6311
Ho: 0.6274 0.7871 0.3689
Ho: 0.6840 0.1676 0.8852
Ho: 0.8865 0.9079 0.6429
Ho: 0.9485 0.6685 0.8875
Ge: 0.1394 0.6229 0.3772
Ge: 0.1647 0.1427 0.8840
Ge: 0.3866 0.7255 0.5986
Ge: 0.4850 0.6620 0.8324
Ge: 0.5150 0.3380 0.1676
Ge: 0.6134 0.2745 0.4014
Ge: 0.8353 0.8573 0.1160
Ge: 0.8606 0.3771 0.6228
O: 0.0055 0.6668 0.0799
O: 0.0114 0.0245 0.1849
O: 0.0457 0.2185 0.5736
O: 0.0655 0.4023 0.3028
O: 0.2231 0.9124 0.6273
O: 0.2450 0.0933 0.0143
O: 0.2854 0.7111 0.9148
O: 0.2880 0.7961 0.3113
O: 0.2978 0.5578 0.4861
O: 0.3419 0.4968 0.1192
O: 0.3660 0.2103 0.8106
O: 0.3882 0.1356 0.2184
O: 0.3991 0.5455 0.6955
O: 0.4027 0.1570 0.4499
O: 0.5973 0.8430 0.5501
O: 0.6009 0.4545 0.3045
O: 0.6118 0.8644 0.7816
O: 0.6340 0.7897 0.1894
O: 0.6581 0.5032 0.8808
O: 0.7022 0.4422 0.5139
O: 0.7120 0.2039 0.6887
O: 0.7146 0.2889 0.0852
O: 0.7550 0.9067 0.9857
O: 0.7769 0.0876 0.3727
O: 0.9345 0.5977 0.6972
O: 0.9543 0.7815 0.4264
O: 0.9886 0.9755 0.8151
O: 0.9945 0.3332 0.9201

Output
Raw total energy = -7.420 eV per atom
Energy relative to the elements = -3035 meV per atom
Energy above the most stable polymorph in this dataset = 34 meV/atom
Crystal system = triclinic



(3)
Computed, not measured: a relaxed structure of LiBi2S3O12 at the GGA-PBE level of DFT.

Cell lengths 8.8928, 8.8928, 8.8928 Å; angles 64.27, 64.27, 64.27 degrees
Atoms (fractional coordinates):
Li: 0.0000 0.0000 0.0000
Li: 0.5000 0.5000 0.5000
Bi: 0.1667 0.1667 0.1667
Bi: 0.3333 0.3333 0.3333
Bi: 0.6667 0.6667 0.6667
Bi: 0.8333 0.8333 0.8333
S: 0.0843 0.7500 0.4157
S: 0.2500 0.5843 0.9157
S: 0.4157 0.0843 0.7500
S: 0.5843 0.9157 0.2500
S: 0.7500 0.4157 0.0843
S: 0.9157 0.2500 0.5843
O: 0.0515 0.8147 0.5597
O: 0.0597 0.3147 0.5515
O: 0.0950 0.8954 0.2465
O: 0.1046 0.7535 0.9050
O: 0.1853 0.4403 0.9485
O: 0.2465 0.0950 0.8954
O: 0.2535 0.6046 0.4050
O: 0.3147 0.5515 0.0597
O: 0.3954 0.5950 0.7465
O: 0.4050 0.2535 0.6046
O: 0.4403 0.9485 0.1853
O: 0.4485 0.9403 0.6853
O: 0.5515 0.0597 0.3147
O: 0.5597 0.0515 0.8147
O: 0.5950 0.7465 0.3954
O: 0.6046 0.4050 0.2535
O: 0.6853 0.4485 0.9403
O: 0.7465 0.3954 0.5950
O: 0.7535 0.9050 0.1046
O: 0.8147 0.5597 0.0515
O: 0.8954 0.2465 0.0950
O: 0.9050 0.1046 0.7535
O: 0.9403 0.6853 0.4485
O: 0.9485 0.1853 0.4403

Output
Raw total energy = -5.900 eV per atom
Energy relative to the elements = -1832 meV per atom
Energy above the most stable polymorph in this dataset = 4 meV/atom
Crystal system = trigonal



(4)
Computed, not measured: a relaxed structure of Sr3NdTaAl3O12 at the GGA-PBE level of DFT.

Cell lengths 9.5149, 9.5149, 5.4591 Å; angles 90.17, 90.17, 70.60 degrees
Atoms (fractional coordinates):
Sr: 0.0000 0.0000 0.0000
Sr: 0.0032 0.4738 0.4988
Sr: 0.2634 0.2345 0.9998
Sr: 0.5262 0.9968 0.5012
Sr: 0.7655 0.7366 0.0002
Sr: 0.7678 0.2322 0.5000
Nd: 0.2676 0.7324 0.5000
Nd: 0.5343 0.4657 0.0000
Ta: 0.1362 0.6040 0.0008
Ta: 0.3960 0.8638 0.9992
Al: 0.1340 0.1131 0.5023
Al: 0.3930 0.3553 0.5019
Al: 0.6428 0.1140 0.0003
Al: 0.6447 0.6070 0.4981
Al: 0.8860 0.3572 0.9997
Al: 0.8869 0.8660 0.4977
O: 0.0062 0.9938 0.5000
O: 0.0127 0.2424 0.7457
O: 0.0199 0.7524 0.2403
O: 0.0221 0.2342 0.2415
O: 0.0369 0.7373 0.7261
O: 0.2476 0.9801 0.7597
O: 0.2505 0.4875 0.2794
O: 0.2627 0.9631 0.2739
O: 0.2711 0.4681 0.7648
O: 0.2750 0.2207 0.4992
O: 0.2937 0.7063 0.0000
O: 0.4908 0.5092 0.5000
O: 0.5069 0.0018 0.0025
O: 0.5125 0.7495 0.7206
O: 0.5148 0.2537 0.2366
O: 0.5263 0.2420 0.7452
O: 0.5319 0.7289 0.2352
O: 0.7463 0.4852 0.7634
O: 0.7580 0.4737 0.2548
O: 0.7576 0.9873 0.2543
O: 0.7658 0.9779 0.7585
O: 0.7674 0.2326 0.0000
O: 0.7793 0.7250 0.5008
O: 0.9982 0.4931 0.9975

Output
Raw total energy = -7.587 eV per atom
Energy relative to the elements = -3384 meV per atom
Energy above the most stable polymorph in this dataset = 8 meV/atom
Crystal system = monoclinic



(5)
Computed, not measured: a relaxed structure of RbMgPH12O10 at the GGA-PBE level of DFT.

Cell lengths 6.9223, 6.1710, 11.3800 Å; angles 90.00, 90.00, 90.00 degrees
Atoms (fractional coordinates):
Rb: 0.0000 0.1510 0.0000
Rb: 0.5000 0.8490 0.5000
Mg: 0.0000 0.1139 0.3484
Mg: 0.5000 0.8861 0.8484
P: 0.0000 0.5126 0.7168
P: 0.5000 0.4874 0.2168
H: 0.0000 0.6698 0.3868
H: 0.0000 0.7737 0.5180
H: 0.1177 0.4968 0.2253
H: 0.1713 0.8953 0.7079
H: 0.1776 0.6818 0.9156
H: 0.1994 0.2928 0.5358
H: 0.2430 0.1438 0.7169
H: 0.2570 0.8562 0.2169
H: 0.3006 0.7072 0.0358
H: 0.3224 0.3182 0.4156
H: 0.3287 0.1047 0.2079
H: 0.3823 0.5032 0.7253
H: 0.5000 0.2263 0.0180
H: 0.5000 0.3302 0.8868
H: 0.6177 0.5032 0.7253
H: 0.6713 0.1047 0.2079
H: 0.6776 0.3182 0.4156
H: 0.6994 0.7072 0.0358
H: 0.7430 0.8562 0.2169
H: 0.7570 0.1438 0.7169
H: 0.8006 0.2928 0.5358
H: 0.8224 0.6818 0.9156
H: 0.8287 0.8953 0.7079
H: 0.8823 0.4968 0.2253
O: 0.0000 0.4335 0.2650
O: 0.0000 0.5367 0.8522
O: 0.0000 0.7424 0.6589
O: 0.0000 0.8070 0.4307
O: 0.1843 0.3892 0.6752
O: 0.2185 0.0096 0.2351
O: 0.2232 0.2258 0.4570
O: 0.2768 0.7742 0.9570
O: 0.2815 0.9904 0.7351
O: 0.3157 0.6108 0.1752
O: 0.5000 0.1930 0.9307
O: 0.5000 0.2576 0.1589
O: 0.5000 0.4633 0.3522
O: 0.5000 0.5665 0.7650
O: 0.6843 0.6108 0.1752
O: 0.7185 0.9904 0.7351
O: 0.7232 0.7742 0.9570
O: 0.7768 0.2258 0.4570
O: 0.7815 0.0096 0.2351
O: 0.8157 0.3892 0.6752

Output
Raw total energy = -5.390 eV per atom
Energy relative to the elements = -1738 meV per atom
Crystal system = orthorhombic



(6)
Computed, not measured: a relaxed structure of HfCoSi at the GGA-PBE level of DFT.

Cell lengths 7.9310, 4.9478, 4.9478 Å; angles 61.28, 90.00, 90.00 degrees
Atoms (fractional coordinates):
Hf: 0.1810 0.0000 0.0000
Hf: 0.2940 0.6696 0.6696
Hf: 0.7060 0.6696 0.6696
Hf: 0.8190 0.0000 0.0000
Co: 0.0000 0.4873 0.9903
Co: 0.0000 0.9903 0.4873
Co: 0.2715 0.3444 0.3444
Co: 0.7285 0.3444 0.3444
Si: 0.0000 0.4819 0.4819
Si: 0.5000 0.1604 0.6762
Si: 0.5000 0.1654 0.1654
Si: 0.5000 0.6762 0.1604

Output
Raw total energy = -8.105 eV per atom
Energy relative to the elements = -584 meV per atom
Crystal system = orthorhombic



Question: What is the energy relative to the elements in the second record?
Answer: -3035 meV per atom



Question: Among the records above, which one has the highest energy relative to the elements?
Answer: NbFe3